# 1
Li11V6O5F19, optimized geometry, DFT PBE+U; excess energy over the best structure of this formula in the dataset = 9.7 meV/atom; final energy = -5.77 eV per atom; formation enthalpy at 0 K = -2.987 eV per atom; size of the total moment = 12.00 μB per formula unit
1.0
2.1186 2.4589 -3.9456
-1.3951 -4.1593 -3.2842
-13.3398 9.1494 -1.4727
V Li F O
6 11 19 5
direct
0.5039 0.4984 0.0019
0.5213 0.1687 0.3281
0.0057 0.0005 0.9977
0.9868 0.3408 0.6705
0.5221 0.8061 0.6661
0.9778 0.6698 0.3272
0.5259 0.8313 0.8899
0.0156 0.5850 0.1046
0.9976 0.4194 0.9005
0.9733 0.0763 0.2245
0.0142 0.6864 0.5594
0.9684 0.1071 0.4601
0.5366 0.6059 0.4590
0.4935 0.2158 0.5640
0.5171 0.2356 0.8104
0.5174 0.5816 0.2269
0.4804 0.1283 0.1107
0.8704 0.7468 0.4558
0.1804 0.6613 0.6952
0.8621 0.3519 0.7840
0.6347 0.2460 0.4559
0.3329 0.1634 0.6909
0.3720 0.8225 0.5523
0.1550 0.6768 0.2158
0.8425 0.0174 0.1123
0.8262 0.0041 0.6244
0.1395 0.3223 0.5516
0.3045 0.4991 0.3704
0.6542 0.4884 0.1155
0.1820 0.9839 0.8895
0.3057 0.8192 0.0489
0.7032 0.1846 0.9458
0.3359 0.1790 0.2187
0.1952 0.9980 0.3704
0.6133 0.8916 0.7808
0.3594 0.4938 0.8835
0.7913 0.3737 0.2945
0.2050 0.3102 0.0328
0.7063 0.8735 0.2938
0.7019 0.5099 0.6292
0.7947 0.6951 0.9669

***

# 2
Ca2TaVO6, optimized geometry, DFT PBE+U; final energy = -8.14 eV per atom; formation enthalpy at 0 K = -3.256 eV per atom; size of the total moment = 2.01 μB per formula unit
1.0
-0.3081 -7.5146 -1.8826
2.1704 -1.3097 4.8727
-5.2040 -0.3477 2.2395
O V Ta Ca
12 2 2 4
direct
0.5453 0.7103 0.3018
0.7500 0.4214 0.9795
0.5479 0.8037 0.7871
0.0453 0.2898 0.6982
0.9521 0.8037 0.7871
0.2500 0.9061 0.5284
0.9547 0.7103 0.3018
0.7500 0.0939 0.4716
0.4547 0.2898 0.6982
0.2500 0.5786 0.0205
0.0479 0.1963 0.2129
0.4521 0.1963 0.2129
0.5000 0.5000 0.0000
0.0000 0.5000 0.0000
0.0000 0.0000 0.5000
0.5000 0.0000 0.5000
0.7500 0.5138 0.5623
0.2500 0.0131 0.9565
0.7500 0.9869 0.0435
0.2500 0.4862 0.4377

***

# 3
Li9Mn2Co5O16, optimized geometry, DFT PBE+U; excess energy over the best structure of this formula in the dataset = 76.4 meV/atom; final energy = -5.78 eV per atom; formation enthalpy at 0 K = -1.788 eV per atom; size of the total moment = 13.48 μB per formula unit
1.0
1.4400 19.3371 0.0000
-1.4400 19.3371 0.0000
0.0000 0.1382 5.1866
O Li Co Mn
16 9 5 2
direct
0.4716 0.4716 0.8560
0.2205 0.2205 0.5915
0.8479 0.8479 0.7363
0.7204 0.7204 0.0920
0.4050 0.4050 0.5087
0.5284 0.5284 0.1440
0.3469 0.3469 0.2407
0.0267 0.0267 0.7086
0.1521 0.1521 0.2637
0.9733 0.9733 0.2914
0.9027 0.9027 0.0103
0.5950 0.5950 0.4913
0.2796 0.2796 0.9080
0.0973 0.0973 0.9897
0.6531 0.6531 0.7593
0.7795 0.7795 0.4085
0.3109 0.3109 0.5655
0.8113 0.8113 0.0665
0.9407 0.9407 0.6793
0.1887 0.1887 0.9335
0.5000 0.5000 0.5000
0.5584 0.5584 0.8198
0.4416 0.4416 0.1802
0.6891 0.6891 0.4345
0.0593 0.0593 0.3207
0.6246 0.6246 0.1264
0.7500 0.7500 0.7502
0.3754 0.3754 0.8736
0.2500 0.2500 0.2498
0.0000 0.0000 0.0000
0.1240 0.1240 0.6259
0.8760 0.8760 0.3741

***

# 4
La2MgCo2O6, optimized geometry, DFT PBE+U; excess energy over the best structure of this formula in the dataset = 0.0 meV/atom; final energy = -6.93 eV per atom; formation enthalpy at 0 K = -2.572 eV per atom; size of the total moment = 6.00 μB per formula unit
1.0
-2.1547 1.2718 -6.1342
1.2805 -2.7137 -5.0054
-4.4835 -3.0746 -1.7364
O La Co Mg
6 2 2 1
direct
0.3649 0.9457 0.3704
0.2094 0.6712 0.8564
0.7908 0.4073 0.6259
0.2148 0.5760 0.3730
0.6413 0.0429 0.6092
0.8023 0.3367 0.1402
0.1894 0.1905 0.7457
0.8262 0.7720 0.2446
0.5064 0.4942 0.0006
0.0025 0.9979 0.4851
0.4996 0.4941 0.5013

***

# 5
Mg6ZnCoO8, optimized geometry, DFT PBE+U; excess energy over the best structure of this formula in the dataset = 3.5 meV/atom; final energy = -5.75 eV per atom; formation enthalpy at 0 K = -2.599 eV per atom; size of the total moment = 3.00 μB per formula unit
1.0
8.5290 0.0000 0.0000
0.0000 4.2745 0.0000
0.0000 0.0000 4.2745
Mg O Co Zn
6 8 1 1
direct
0.2486 0.5000 0.0000
0.7514 0.0000 0.5000
0.2486 0.0000 0.5000
0.5000 0.5000 0.5000
0.7514 0.5000 0.0000
0.5000 0.0000 0.0000
0.0000 0.0000 0.5000
0.0000 0.5000 0.0000
0.2510 0.5000 0.5000
0.5000 0.5000 0.0000
0.7490 0.5000 0.5000
0.5000 0.0000 0.5000
0.2534 0.0000 0.0000
0.7466 0.0000 0.0000
0.0000 0.5000 0.5000
0.0000 0.0000 0.0000

***

# 6
ScMn2SbO6, optimized geometry, DFT PBE+U; final energy = -7.62 eV per atom; formation enthalpy at 0 K = -2.519 eV per atom; size of the total moment = 0.00 μB per formula unit
1.0
-0.0353 -2.9485 5.5680
6.1953 1.1775 0.5189
-1.4046 5.5168 2.7788
O Sc Mn Sb
12 2 4 2
direct
0.5583 0.8036 0.4272
0.5895 0.4301 0.2016
0.1950 0.5789 0.4176
0.6997 0.0404 0.9094
0.9667 0.0959 0.3055
0.2988 0.9578 0.1009
0.8038 0.4254 0.5620
0.4196 0.1961 0.5653
0.0845 0.3047 0.9696
0.4216 0.5649 0.7961
0.0525 0.9108 0.6971
0.9144 0.6975 0.0503
0.2517 0.9439 0.4359
0.9404 0.4364 0.2491
0.7490 0.0548 0.5651
0.0571 0.5602 0.7524
0.5605 0.7495 0.0501
0.4387 0.2516 0.9477
0.9992 0.9987 0.9979
0.4990 0.4988 0.4992

***

Calculated V (Å³ per atom), listed in the same order as above: 10.941, 12.086, 9.027, 13.924, 9.740, 12.620